# 1
Material: BaReH7
Method: DFT, PBE-GGA
State: relaxed

Unit cell a=3.570 b=9.795 c=5.138 alpha=90.00 beta=90.40 gamma=90.00
Space group P2_1/m (No. 11)
Unique sites:
Ba: 0.000 0.000 0.000 x2
Re: 0.448 0.250 0.481 x2
H: 0.039 0.160 0.482 x4
H: 0.433 0.250 0.150 x2
H: 0.492 0.589 0.633 x4
H: 0.494 0.145 0.750 x4

Values from the calculation:
energy	-4.3582	eV per atom
spin magnetization	0.000	μB/f.u.
excess energy over the best structure of this formula in the dataset	0	meV per atom

# 2
Material: BaHfNbInO6
Method: DFT, PBE-GGA
State: relaxed

Unit cell a=8.306 b=8.306 c=8.306 alpha=90.00 beta=90.00 gamma=90.00
Space group F-43m (No. 216)
Unique sites:
Ba: 0.000 0.000 0.000 x4
Hf: 0.250 0.250 0.250 x4
Nb: 0.250 0.250 0.750 x4
In: 0.000 0.000 0.500 x4
O: 0.004 0.250 0.750 x24

Values from the calculation:
energy	-8.0966	eV per atom
spin magnetization	0.000	μB/f.u.

# 3
Material: BaHfTiInO6
Method: DFT, PBE-GGA
State: relaxed

Unit cell a=8.142 b=8.142 c=8.142 alpha=90.00 beta=90.00 gamma=90.00
Space group F-43m (No. 216)
Unique sites:
Ba: 0.000 0.000 0.000 x4
Hf: 0.250 0.250 0.750 x4
Ti: 0.250 0.250 0.250 x4
In: 0.000 0.000 0.500 x4
O: 0.006 0.250 0.250 x24

Values from the calculation:
energy	-7.9140	eV per atom
spin magnetization	0.000	μB/f.u.

# 4
Material: BaHfMg2
Method: DFT, PBE-GGA
State: relaxed

Unit cell a=7.747 b=7.747 c=7.747 alpha=90.00 beta=90.00 gamma=90.00
Space group F-43m (No. 216)
Unique sites:
Ba: 0.000 0.000 0.000 x4
Hf: 0.250 0.250 0.750 x4
Mg: 0.000 0.000 0.500 x4
Mg: 0.250 0.250 0.250 x4

Values from the calculation:
energy	-3.1979	eV per atom
spin magnetization	0.000	μB/f.u.

# 5
Material: BaHfMg14
Method: DFT, PBE-GGA
State: relaxed

Unit cell a=10.484 b=6.601 c=11.409 alpha=90.00 beta=90.00 gamma=90.00
Space group Amm2 (No. 38)
Unique sites:
Ba: 0.000 0.000 0.000 x2
Hf: 0.000 0.000 0.488 x2
Mg: 0.000 0.249 0.250 x4
Mg: 0.245 0.000 0.663 x4
Mg: 0.261 0.238 0.414 x8
Mg: 0.265 0.000 0.172 x4
Mg: 0.500 0.000 0.499 x2
Mg: 0.500 0.000 0.998 x2
Mg: 0.500 0.247 0.748 x4

Values from the calculation:
energy	-2.0209	eV per atom
spin magnetization	0.000	μB/f.u.
excess energy over the best structure of this formula in the dataset	3	meV per atom

# 6
Material: BaHfMg14
Method: DFT, PBE-GGA
State: relaxed

Unit cell a=6.6508 b=6.6508 c=10.3637 alpha=90.00 beta=90.00 gamma=120.00
Space group P-6m2 (No. 187)
Unique sites:
Ba: 0.0000 0.0000 0.0000 x1
Hf: 0.0000 0.0000 0.5000 x1
Mg: 0.0143 0.5071 0.0000 x3
Mg: 0.1706 0.3413 0.2660 x6
Mg: 0.5007 0.0013 0.5000 x3
Mg: 0.6667 0.3333 0.2461 x2

Values from the calculation:
energy	-2.0240	eV per atom
spin magnetization	0.029	μB/f.u.
excess energy over the best structure of this formula in the dataset	0	meV per atom

# 7
Material: BaHfMg6O8
Method: DFT, PBE-GGA
State: relaxed

Unit cell a=4.754 b=4.754 c=9.083 alpha=90.00 beta=90.00 gamma=90.00
Space group P4/mmm (No. 123)
Unique sites:
Ba: 0.000 0.000 0.000 x1
Hf: 0.000 0.000 0.500 x1
Mg: 0.000 0.500 0.255 x4
Mg: 0.500 0.500 0.000 x1
Mg: 0.500 0.500 0.500 x1
O: 0.000 0.000 0.279 x2
O: 0.000 0.500 0.000 x2
O: 0.000 0.500 0.500 x2
O: 0.500 0.500 0.249 x2

Values from the calculation:
energy	-5.9800	eV per atom
spin magnetization	0.000	μB/f.u.
excess energy over the best structure of this formula in the dataset	31	meV per atom

# 8
Material: BaHfMg6O8
Method: DFT, PBE-GGA
State: relaxed

Unit cell a=4.700 b=4.700 c=9.028 alpha=90.00 beta=90.00 gamma=90.00
Space group P4/mmm (No. 123)
Unique sites:
Ba: 0.000 0.000 0.000 x1
Hf: 0.500 0.500 0.000 x1
Mg: 0.000 0.000 0.500 x1
Mg: 0.000 0.500 0.273 x4
Mg: 0.500 0.500 0.500 x1
O: 0.000 0.000 0.284 x2
O: 0.000 0.500 0.000 x2
O: 0.000 0.500 0.500 x2
O: 0.500 0.500 0.248 x2

Values from the calculation:
energy	-6.0113	eV per atom
spin magnetization	0.516	μB/f.u.
excess energy over the best structure of this formula in the dataset	0	meV per atom